! Na11Zr8Si7P5O48, relaxed, DFT GGA-PBE; values from VASP
&SYSTEM
  ibrav = 0, nat = 79, ntyp = 5
/
ATOMIC_SPECIES
Na 22.99 Na.upf
Zr 91.22 Zr.upf
Si 28.09 Si.upf
P 30.97 P.upf
O 16.00 O.upf
CELL_PARAMETERS angstrom
9.148 0.000 0.000
-4.572 7.934 0.000
-0.071 -5.202 15.325
ATOMIC_POSITIONS crystal
Na 0.000 0.000 0.000
Na 0.016 0.602 0.878
Na 0.057 0.396 0.132
Na 0.290 0.671 0.724
Na 0.367 0.076 0.099
Na 0.486 0.003 0.500
Na 0.521 0.605 0.378
Na 0.544 0.404 0.645
Na 0.773 0.745 0.173
Na 0.791 0.465 0.268
Na 0.878 0.093 0.600
Zr 0.106 0.144 0.232
Zr 0.205 0.342 0.532
Zr 0.348 0.640 0.973
Zr 0.460 0.850 0.289
Zr 0.597 0.138 0.730
Zr 0.703 0.346 0.036
Zr 0.852 0.643 0.476
Zr 0.961 0.848 0.785
Si 0.112 0.742 0.129
Si 0.351 0.953 0.886
Si 0.403 0.456 0.135
Si 0.450 0.246 0.389
Si 0.618 0.747 0.628
Si 0.856 0.944 0.382
Si 0.907 0.461 0.636
P 0.147 0.525 0.373
P 0.196 0.036 0.630
P 0.655 0.535 0.880
P 0.694 0.034 0.130
P 0.941 0.242 0.890
O 0.063 0.426 0.613
O 0.089 0.876 0.547
O 0.094 0.384 0.281
O 0.094 0.918 0.146
O 0.117 0.407 0.895
O 0.118 0.993 0.711
O 0.162 0.931 0.887
O 0.188 0.722 0.038
O 0.200 0.204 0.626
O 0.201 0.462 0.441
O 0.239 0.265 0.137
O 0.241 0.760 0.206
O 0.309 0.703 0.375
O 0.318 0.227 0.311
O 0.328 0.760 0.883
O 0.343 0.512 0.060
O 0.383 0.281 0.482
O 0.384 0.076 0.637
O 0.425 0.578 0.618
O 0.428 0.993 0.798
O 0.460 0.068 0.370
O 0.473 0.619 0.228
O 0.483 0.114 0.973
O 0.507 0.562 0.903
O 0.567 0.430 0.116
O 0.571 0.883 0.048
O 0.601 0.386 0.792
O 0.613 0.931 0.653
O 0.623 0.992 0.212
O 0.634 0.420 0.390
O 0.663 0.915 0.382
O 0.703 0.739 0.539
O 0.709 0.213 0.132
O 0.716 0.483 0.951
O 0.739 0.753 0.705
O 0.744 0.277 0.646
O 0.814 0.711 0.877
O 0.815 0.229 0.820
O 0.839 0.513 0.562
O 0.841 0.756 0.378
O 0.874 0.056 0.130
O 0.881 0.271 0.980
O 0.922 0.570 0.125
O 0.930 0.994 0.295
O 0.950 0.073 0.869
O 0.981 0.626 0.730
O 0.984 0.108 0.469
O 0.996 0.550 0.393
! distance to the lowest polymorph of the same formula: 0.000 eV per atom
! spin magnetization: 0.0 μB per cell
! total energy: -600.4 eV per cell
! DFT formation energy: -3137 meV/atom
! space group: P1
! E (MP2020): -8.017 eV per atom